(1)
# Li2Ni2SnO6

A relaxed Li2Ni2SnO6 crystal (GGA+U, Materials Project).

Cell: 5.1523 5.1523 10.1256 Å, 90.00 90.00 117.86°
Last column: nearest neighbours and their distance in Å.
Fractional coordinates of all 22 atoms:
Li 0.1413 0.6413 0.7500  4 O 2.03-2.05
Li 0.3587 0.8587 0.2500  4 O 2.03-2.05
Li 0.6413 0.1413 0.7500  4 O 2.03-2.05
Li 0.8587 0.3587 0.2500  4 O 2.03-2.05
Ni 0.1638 0.8362 0.5000  4 O 1.92
Ni 0.3362 0.6638 0.0000  4 O 1.92
Ni 0.6638 0.3362 0.0000  4 O 1.92
Ni 0.8362 0.1638 0.5000  4 O 1.92
Sn 0.0000 0.0000 0.0000  6 O 2.09-2.12
Sn 0.5000 0.5000 0.5000  6 O 2.09-2.12
O 0.0361 0.6747 0.1094  1 Ni 1.92, 2 Li 2.03-2.05, 1 Sn 2.09
O 0.9639 0.3253 0.8906  1 Ni 1.92, 2 Li 2.03-2.05, 1 Sn 2.09
O 0.1747 0.5361 0.3906  1 Ni 1.92, 2 Li 2.03-2.05, 1 Sn 2.09
O 0.4639 0.8253 0.6094  1 Ni 1.92, 2 Li 2.03-2.05, 1 Sn 2.09
O 0.1469 0.1469 0.5976  2 Ni 1.92, 1 Sn 2.12
O 0.3531 0.3531 0.0976  2 Ni 1.92, 1 Sn 2.12
O 0.6469 0.6469 0.9024  2 Ni 1.92, 1 Sn 2.12
O 0.3253 0.9639 0.8906  1 Ni 1.92, 2 Li 2.03-2.05, 1 Sn 2.09
O 0.8531 0.8531 0.4024  2 Ni 1.92, 1 Sn 2.12
O 0.5361 0.1747 0.3906  1 Ni 1.92, 2 Li 2.03-2.05, 1 Sn 2.09
O 0.8253 0.4639 0.6094  1 Ni 1.92, 2 Li 2.03-2.05, 1 Sn 2.09
O 0.6747 0.0361 0.1094  1 Ni 1.92, 2 Li 2.03-2.05, 1 Sn 2.09



(2)
# Li4Ni3SnO8

A relaxed Li4Ni3SnO8 crystal (GGA+U, Materials Project).

Cell: 10.3397 10.3503 14.6529 Å, 19.43 19.43 33.43°
Last column: nearest neighbours and their distance in Å.
Fractional coordinates of all 16 atoms:
Li 0.0000 0.9999 0.5001  6 O 2.13-2.16
Li 0.9999 0.4999 0.5001  6 O 2.14-2.24
Li 0.4999 0.9999 0.5001  6 O 2.13-2.23
Li 0.5000 0.5000 0.5000  6 O 2.13-2.28
Ni 0.0002 0.5002 0.9998  6 O 2.00-2.11
Ni 0.5001 0.0002 0.9998  6 O 2.00-2.12
Ni 0.4999 0.4999 0.0002  6 O 1.98-2.09
Sn 0.0003 0.0003 0.9996  6 O 2.07-2.09
O 0.9923 0.9942 0.2740  3 Ni 1.98-2.00
O 0.0075 0.5049 0.2448  2 Ni 2.06-2.12, 1 Sn 2.08, 3 Li 2.13-2.14
O 0.5041 0.0015 0.2487  1 Sn 2.08, 2 Ni 2.09-2.11, 3 Li 2.13-2.14
O 0.0076 0.0057 0.7262  3 Ni 1.98-2.00
O 0.5024 0.5031 0.2514  2 Ni 2.06, 1 Sn 2.09, 3 Li 2.15-2.16
O 0.9924 0.4951 0.7553  2 Ni 2.07-2.12, 1 Sn 2.08, 3 Li 2.13-2.14
O 0.4959 0.9984 0.7514  1 Sn 2.07, 2 Ni 2.09-2.11, 3 Li 2.13-2.14
O 0.4976 0.4969 0.7486  2 Ni 2.06, 1 Sn 2.09, 3 Li 2.15-2.16



(3)
# Li2Ni2SnO6

A relaxed Li2Ni2SnO6 crystal (GGA+U, Materials Project).

Cell: 6.6326 6.7439 8.5035 Å, 71.75 71.43 83.72°
Last column: nearest neighbours and their distance in Å.
Fractional coordinates of all 33 atoms:
Li 0.1623 0.5109 0.3256  6 O 2.09-2.29
Li 0.8377 0.4891 0.6744  6 O 2.09-2.29
Li 0.8152 0.1504 0.0037  5 O 2.06-2.26
Li 0.5043 0.1260 0.3392  3 O 1.97-2.11
Li 0.4957 0.8740 0.6608  3 O 1.97-2.11
Li 0.1848 0.8496 0.9963  5 O 2.06-2.26
Ni 0.8297 0.8435 0.8237  5 O 1.87-2.04
Ni 0.5089 0.1625 0.8368  4 O 1.86-1.98
Ni 0.1703 0.1565 0.1763  5 O 1.87-2.04
Ni 0.8411 0.1639 0.4948  6 O 1.89-2.10
Ni 0.4911 0.8375 0.1632  4 O 1.86-1.98
Ni 0.1589 0.8361 0.5052  6 O 1.89-2.10
Sn 0.5000 0.5000 0.5000  6 O 2.07-2.08
Sn 0.1729 0.4945 0.8394  6 O 2.05-2.11
Sn 0.8271 0.5055 0.1606  6 O 2.05-2.11
O 0.8027 0.8318 0.0577  2 Ni 1.92-1.98, 1 Li 2.06, 1 Sn 2.11
O 0.4587 0.8228 0.4386  1 Ni 1.89, 1 Li 1.97, 1 Sn 2.08
O 0.1468 0.8177 0.7506  2 Ni 2.00-2.03, 1 Sn 2.08, 1 Li 2.23
O 0.8286 0.4920 0.4101  2 Sn 2.07-2.10, 1 Ni 2.10, 2 Li 2.10-2.26
O 0.5012 0.4689 0.7501  1 Ni 1.97, 2 Sn 2.07, 1 Li 2.12
O 0.8045 0.1617 0.7410  3 Ni 1.87-2.04
O 0.4988 0.5311 0.2499  1 Ni 1.97, 2 Sn 2.07, 1 Li 2.12
O 0.1714 0.5080 0.5899  2 Sn 2.07-2.10, 1 Ni 2.10, 2 Li 2.10-2.26
O 0.5413 0.1772 0.5614  1 Ni 1.89, 1 Li 1.97, 1 Sn 2.08
O 0.1536 0.5116 0.0824  2 Sn 2.05-2.07, 2 Li 2.09-2.18, 1 Ni 2.28
O 0.4818 0.1270 0.1030  2 Ni 1.86-1.97, 1 Li 2.06
O 0.1426 0.1546 0.4028  3 Ni 1.87-2.05
O 0.8464 0.4884 0.9176  2 Sn 2.05-2.07, 2 Li 2.09-2.18, 1 Ni 2.28
O 0.1973 0.1682 0.9423  2 Ni 1.92-1.98, 1 Li 2.06, 1 Sn 2.11
O 0.8532 0.1823 0.2494  2 Ni 2.00-2.03, 1 Sn 2.08, 1 Li 2.23
O 0.5182 0.8730 0.8970  2 Ni 1.86-1.97, 1 Li 2.06
O 0.1955 0.8383 0.2590  3 Ni 1.87-2.04
O 0.8574 0.8454 0.5972  3 Ni 1.87-2.05



(4)
# LiNiSnO4

A relaxed LiNiSnO4 crystal (GGA+U, Materials Project).

Cell: 5.1871 3.0450 5.3277 Å, 90.00 72.72 90.00°
Last column: nearest neighbours and their distance in Å.
Fractional coordinates of all 7 atoms:
Li 0.0000 0.0000 0.0000  6 O 2.14-2.27
Ni 0.5000 0.5000 0.0000  6 O 1.97-2.11
Sn 0.5000 0.0000 0.5000  6 O 2.09-2.14
O 0.6991 0.0000 0.7979  2 Ni 1.97, 1 Sn 2.14, 1 Li 2.14
O 0.7285 0.5000 0.2679  2 Sn 2.09, 1 Ni 2.11, 2 Li 2.27
O 0.2715 0.5000 0.7321  2 Sn 2.09, 1 Ni 2.11, 2 Li 2.27
O 0.3009 0.0000 0.2021  2 Ni 1.97, 1 Sn 2.14, 1 Li 2.14



(5)
# Li5Ni5Sn2O12

A relaxed Li5Ni5Sn2O12 crystal (GGA+U, Materials Project).

Cell: 5.2117 5.2117 9.9421 Å, 84.83 84.83 120.10°
Last column: nearest neighbours and their distance in Å.
Fractional coordinates of all 24 atoms:
Li 0.8153 0.6797 0.2518  5 O 2.07-2.27
Li 0.6768 0.8265 0.7447  6 O 2.11-2.26
Li 0.3203 0.1847 0.7482  5 O 2.07-2.27
Li 0.1735 0.3232 0.2553  6 O 2.11-2.26
Li 0.0864 0.9136 0.5000  6 O 2.13-2.23
Ni 0.9157 0.0843 0.0000  6 O 2.07-2.16
Ni 0.0001 0.5036 0.7467  6 O 2.04-2.15
Ni 0.4964 0.9999 0.2533  6 O 2.04-2.15
Ni 0.5844 0.4156 0.0000  6 O 2.07-2.15
Ni 0.4189 0.5811 0.5000  6 O 1.99-2.10
Sn 0.7524 0.2476 0.5000  6 O 2.06-2.12
Sn 0.2502 0.7498 0.0000  6 O 2.08-2.11
O 0.0360 0.2232 0.6256  2 Ni 2.04-2.10, 1 Sn 2.06, 3 Li 2.07-2.23
O 0.7768 0.9640 0.3744  2 Ni 2.04-2.10, 1 Sn 2.06, 3 Li 2.07-2.23
O 0.8708 0.3717 0.1195  3 Ni 2.07-2.15, 1 Sn 2.11, 2 Li 2.26-2.27
O 0.6283 0.1292 0.8805  3 Ni 2.07-2.15, 1 Sn 2.11, 2 Li 2.26-2.27
O 0.6981 0.5290 0.6198  2 Ni 2.06-2.15, 3 Li 2.08-2.14, 1 Sn 2.08
O 0.4710 0.3019 0.3802  2 Ni 2.06-2.15, 3 Li 2.08-2.14, 1 Sn 2.08
O 0.5424 0.7197 0.1202  3 Ni 2.07-2.15, 1 Sn 2.08, 2 Li 2.09-2.20
O 0.2803 0.4576 0.8798  3 Ni 2.07-2.15, 1 Sn 2.08, 2 Li 2.09-2.20
O 0.3803 0.8527 0.6175  2 Ni 1.99-2.10, 1 Sn 2.12, 2 Li 2.13
O 0.1473 0.6197 0.3825  2 Ni 1.99-2.10, 1 Sn 2.12, 2 Li 2.13
O 0.2181 0.0399 0.1223  1 Sn 2.08, 3 Ni 2.09-2.16, 2 Li 2.15-2.17
O 0.9601 0.7819 0.8777  1 Sn 2.08, 3 Ni 2.09-2.16, 2 Li 2.15-2.17



(6)
# LiNiSnO4

A relaxed LiNiSnO4 crystal (GGA+U, Materials Project).

Cell: 6.1274 6.1274 6.1274 Å, 123.26 119.12 87.99°
Last column: nearest neighbours and their distance in Å.
Fractional coordinates of all 14 atoms:
Li 0.6241 0.8741 0.7500  2 O 1.93
Li 0.3759 0.1259 0.2500  2 O 1.93
Ni 0.0000 0.5000 0.0000  6 O 1.95-2.16
Ni 0.0000 0.0000 0.5000  6 O 1.95-2.16
Sn 0.5000 0.5000 0.0000  6 O 2.07-2.13
Sn 0.0000 0.5000 0.5000  6 O 2.07-2.13
O 0.7555 0.2699 0.0144  1 Li 1.93, 2 Sn 2.07, 1 Ni 2.16
O 0.7815 0.7401 0.0414  2 Ni 1.95, 1 Sn 2.13, 1 Li 2.16
O 0.1987 0.7401 0.4586  2 Ni 1.95, 1 Sn 2.13, 1 Li 2.16
O 0.7555 0.7412 0.4856  1 Li 1.93, 2 Sn 2.07, 1 Ni 2.16
O 0.2445 0.2588 0.5144  1 Li 1.93, 2 Sn 2.07, 1 Ni 2.16
O 0.2185 0.2599 0.9586  2 Ni 1.95, 1 Sn 2.13, 1 Li 2.16
O 0.8013 0.2599 0.5414  2 Ni 1.95, 1 Sn 2.13, 1 Li 2.16
O 0.2445 0.7301 0.9856  1 Li 1.93, 2 Sn 2.07, 1 Ni 2.16



(7)
# LiNiSnO4

A relaxed LiNiSnO4 crystal (GGA+U, Materials Project).

Cell: 6.0737 5.9384 6.0736 Å, 61.01 89.57 118.99°
Last column: nearest neighbours and their distance in Å.
Fractional coordinates of all 14 atoms:
Li 0.0000 0.5000 0.0000  6 O 2.17-2.23
Li 0.5000 0.0000 0.5000  6 O 2.17-2.23
Ni 0.0000 0.0000 0.5000  6 O 1.95-2.12
Ni 0.0000 0.5000 0.5000  6 O 1.95-2.12
Sn 0.0000 0.0000 0.0000  6 O 2.11-2.12
Sn 0.5000 0.5000 0.5000  6 O 2.11-2.12
O 0.2476 0.0125 0.7436  2 Sn 2.11, 1 Ni 2.12, 2 Li 2.17-2.21
O 0.2089 0.4519 0.3029  2 Ni 1.95, 1 Sn 2.12
O 0.2436 0.4875 0.7476  2 Sn 2.11, 1 Ni 2.12, 2 Li 2.17-2.21
O 0.1971 0.9519 0.2911  2 Ni 1.95, 1 Sn 2.12
O 0.8029 0.0481 0.7089  2 Ni 1.95, 1 Sn 2.12
O 0.7564 0.5125 0.2524  2 Sn 2.11, 1 Ni 2.12, 2 Li 2.17-2.21
O 0.7911 0.5481 0.6971  2 Ni 1.95, 1 Sn 2.12
O 0.7524 0.9875 0.2564  2 Sn 2.11, 1 Ni 2.12, 2 Li 2.17-2.21



(8)
# Li4Ni5SnO12

A relaxed Li4Ni5SnO12 crystal (GGA+U, Materials Project).

Cell: 5.0445 5.0445 10.0439 Å, 89.11 89.11 118.99°
Last column: nearest neighbours and their distance in Å.
Fractional coordinates of all 22 atoms:
Li 0.6558 0.1523 0.7475  4 O 1.98-2.08
Li 0.8477 0.3442 0.2525  4 O 1.98-2.08
Li 0.1523 0.6558 0.7475  4 O 1.98-2.08
Li 0.3442 0.8477 0.2525  4 O 1.98-2.08
Ni 0.8376 0.1624 0.5000  6 O 1.86-1.94
Ni 0.3360 0.6640 0.0000  4 O 1.90-1.91
Ni 0.6640 0.3360 0.0000  4 O 1.90-1.91
Ni 0.1624 0.8376 0.5000  6 O 1.86-1.94
Ni 0.5000 0.5000 0.5000  6 O 2.07-2.10
Sn 0.0000 0.0000 0.0000  6 O 2.07-2.09
O 0.6675 0.0283 0.1121  1 Ni 1.91, 2 Li 1.98-2.02, 1 Sn 2.07
O 0.9717 0.3325 0.8879  1 Ni 1.91, 2 Li 1.98-2.02, 1 Sn 2.07
O 0.5059 0.1429 0.3985  3 Ni 1.93-2.10, 2 Li 1.99-2.08
O 0.1429 0.5059 0.3985  3 Ni 1.93-2.10, 2 Li 1.99-2.08
O 0.8571 0.4941 0.6015  3 Ni 1.93-2.10, 2 Li 1.99-2.08
O 0.1373 0.1373 0.5967  3 Ni 1.86-2.07
O 0.4941 0.8571 0.6015  3 Ni 1.93-2.10, 2 Li 1.99-2.08
O 0.0283 0.6675 0.1121  1 Ni 1.91, 2 Li 1.98-2.02, 1 Sn 2.07
O 0.3502 0.3502 0.1022  2 Ni 1.90, 1 Sn 2.09
O 0.3325 0.9717 0.8879  1 Ni 1.91, 2 Li 1.98-2.02, 1 Sn 2.07
O 0.6498 0.6498 0.8978  2 Ni 1.90, 1 Sn 2.09
O 0.8627 0.8627 0.4033  3 Ni 1.86-2.07



Number 1: formation energy from the elements -157 kJ per mole of atoms. Number 2: formation energy from the elements -166 kJ per mole of atoms. Number 3: formation energy from the elements -154 kJ per mole of atoms. Number 4: formation energy from the elements -163 kJ per mole of atoms. Number 5: formation energy from the elements -169 kJ per mole of atoms. Number 6: formation energy from the elements -169 kJ per mole of atoms. Number 7: formation energy from the elements -163 kJ per mole of atoms. Number 8: formation energy from the elements -138 kJ per mole of atoms.